No. 1
{"formula": "Mg7Si4", "functional": "GGA-PBE", "state": "optimized geometry", "lattice": [[-3.1035, -0.3569, -2.8975], [-4.5932, -1.4317, 5.1363], [-0.7487, 15.2193, 1.6328]], "species": ["Mg", "Mg", "Mg", "Mg", "Mg", "Mg", "Mg", "Mg", "Mg", "Mg", "Mg", "Mg", "Mg", "Mg", "Si", "Si", "Si", "Si", "Si", "Si", "Si", "Si"], "fractional_positions": [[0.5910, 0.8839, 0.1190], [0.2302, 0.6462, 0.3915], [0.7957, 0.5819, 0.5358], [0.7132, 0.2892, 0.3334], [0.5895, 0.3374, 0.1339], [0.8930, 0.7545, 0.7331], [0.8423, 0.2755, 0.6730], [0.7587, 0.9593, 0.4473], [0.0542, 0.5965, 0.0376], [0.0366, 0.0777, 0.0117], [0.5076, 0.3434, 0.9307], [0.4945, 0.7666, 0.8978], [0.2812, 0.2798, 0.5020], [0.3345, 0.9036, 0.5974], [0.9680, 0.1618, 0.8413], [0.1218, 0.1090, 0.1967], [0.6645, 0.6315, 0.2656], [0.3387, 0.5365, 0.6470], [0.9818, 0.5133, 0.8589], [0.1389, 0.7654, 0.2184], [0.2191, 0.0457, 0.3508], [0.4414, 0.0377, 0.7736]], "energy_mp2020_ev_per_atom": -2.887, "de_polymorph_ev_per_atom": 0.054, "ef_ev_per_atom": 0.10}

=====

No. 2
{"formula": "Ce3Sn", "functional": "GGA-PBE", "state": "optimized geometry", "lattice": [[4.7922, 0.0000, 0.0000], [0.0000, 4.7922, 0.0000], [0.0000, 0.0000, 4.7922]], "species": ["Ce", "Ce", "Ce", "Sn"], "fractional_positions": [[0.5000, 0.5000, 0.0000], [0.5000, 0.0000, 0.5000], [0.0000, 0.5000, 0.5000], [0.0000, 0.0000, 0.0000]], "ef_ev_per_atom": -0.41}

=====

No. 3
{"formula": "Ca3V3N5", "functional": "GGA-PBE", "state": "optimized geometry", "lattice": [[-2.8121, -0.7424, 4.9233], [2.7803, -6.7283, -0.8325], [6.0725, 5.3113, 1.7364]], "species": ["Ca", "Ca", "Ca", "Ca", "Ca", "Ca", "V", "V", "V", "V", "V", "V", "N", "N", "N", "N", "N", "N", "N", "N", "N", "N"], "fractional_positions": [[0.7414, 0.4250, 0.5952], [0.2586, 0.5750, 0.4048], [0.6568, 0.8490, 0.8893], [0.3432, 0.1510, 0.1107], [0.6749, 0.6821, 0.2226], [0.3251, 0.3179, 0.7774], [0.9030, 0.3157, 0.9654], [0.0970, 0.6843, 0.0346], [0.7003, 0.9887, 0.5982], [0.2997, 0.0113, 0.4018], [0.0945, 0.8650, 0.6978], [0.9055, 0.1350, 0.3022], [0.0041, 0.0976, 0.8197], [0.9959, 0.9024, 0.1803], [0.7496, 0.7196, 0.5320], [0.2504, 0.2804, 0.4680], [0.7536, 0.5174, 0.9045], [0.2464, 0.4826, 0.0955], [0.3718, 0.9390, 0.6207], [0.6282, 0.0610, 0.3793], [0.2180, 0.7614, 0.8692], [0.7820, 0.2386, 0.1308]], "energy_mp2020_ev_per_atom": -7.974, "ef_ev_per_atom": -1.16}

=====

No. 4
{"formula": "Hf4Co", "functional": "GGA-PBE", "state": "optimized geometry", "lattice": [[-4.8067, -4.8067, 0.0000], [-4.8067, 0.0000, -4.8067], [0.0000, -4.8067, -4.8067]], "species": ["Hf", "Hf", "Hf", "Hf", "Hf", "Hf", "Hf", "Hf", "Co", "Co"], "fractional_positions": [[0.6107, 0.6107, 0.6107], [0.1680, 0.6107, 0.6107], [0.6107, 0.1680, 0.6107], [0.5820, 0.1393, 0.1393], [0.1393, 0.1393, 0.1393], [0.6107, 0.6107, 0.1680], [0.1393, 0.5820, 0.1393], [0.1393, 0.1393, 0.5820], [0.0000, 0.0000, 0.0000], [0.7500, 0.7500, 0.7500]], "ef_ev_per_atom": 0.51}